# 1
Computed, not measured: RbMg14Nb after structural relaxation at the PBE level of DFT.

Cell: 6.5048 6.6865 10.3681 Å, 90.00 90.00 120.93°
Closest atoms and distances in Å follow each position.
Positions (direct):
Rb: 0.1602 0.3301 0.1250  10 Mg 3.24-3.35, 2 Nb 3.35
Mg: 0.1713 0.3356 0.6250  12 Mg 3.13-3.34
Mg: 0.1664 0.8332 0.6250  12 Mg 3.11-3.34
Mg: 0.6634 0.3319 0.1250  2 Nb 3.12-3.39, 8 Mg 3.17-3.35, 2 Rb 3.24-3.27
Mg: 0.6678 0.3390 0.6250  12 Mg 3.08-3.41
Mg: 0.6634 0.8316 0.1250  2 Nb 3.12-3.39, 8 Mg 3.17-3.35, 2 Rb 3.24-3.27
Mg: 0.6678 0.8288 0.6250  12 Mg 3.08-3.41
Mg: 0.3316 0.1490 0.3809  9 Mg 3.11-3.38, 1 Nb 3.18, 1 Rb 3.34
Mg: 0.3316 0.1490 0.8691  9 Mg 3.11-3.38, 1 Nb 3.18, 1 Rb 3.34
Mg: 0.3316 0.6826 0.3809  9 Mg 3.11-3.38, 1 Nb 3.18, 1 Rb 3.34
Mg: 0.3316 0.6826 0.8691  9 Mg 3.11-3.38, 1 Nb 3.18, 1 Rb 3.34
Mg: 0.8175 0.1588 0.3906  11 Mg 3.08-3.38, 1 Rb 3.35
Mg: 0.8175 0.1588 0.8594  11 Mg 3.08-3.38, 1 Rb 3.35
Mg: 0.8433 0.6716 0.3657  11 Mg 3.14-3.37, 1 Nb 3.16
Mg: 0.8433 0.6716 0.8843  11 Mg 3.14-3.37, 1 Nb 3.16
Nb: 0.1916 0.8458 0.1250  10 Mg 3.12-3.39, 2 Rb 3.35

Results
The calculation puts the formation enthalpy at 0 K at 24.09 kJ/mol of atoms. The calculation puts the energy at -1.8432 eV/atom. The space group is Amm2.


# 2
Computed, not measured: RbMg14Nb after structural relaxation at the PBE level of DFT.

Cell: 6.5606 6.5606 10.3632 Å, 90.00 90.00 120.00°
Closest atoms and distances in Å follow each position.
Positions (direct):
Rb: 0.1667 0.3333 0.1250  12 Mg 3.28-3.39
Mg: 0.1759 0.8379 0.1250  10 Mg 3.19-3.37, 2 Rb 3.28
Mg: 0.1627 0.8314 0.6250  10 Mg 3.04-3.32, 2 Nb 3.28
Mg: 0.6621 0.3241 0.1250  10 Mg 3.19-3.37, 2 Rb 3.28
Mg: 0.6686 0.3373 0.6250  10 Mg 3.04-3.32, 2 Nb 3.28
Mg: 0.6621 0.8379 0.1250  10 Mg 3.19-3.37, 2 Rb 3.28
Mg: 0.6686 0.8314 0.6250  10 Mg 3.04-3.32, 2 Nb 3.28
Mg: 0.3348 0.1652 0.3954  10 Mg 3.04-3.36, 1 Nb 3.05, 1 Rb 3.39
Mg: 0.3348 0.1652 0.8546  10 Mg 3.04-3.36, 1 Nb 3.05, 1 Rb 3.39
Mg: 0.3348 0.6696 0.3954  10 Mg 3.04-3.36, 1 Nb 3.05, 1 Rb 3.39
Mg: 0.3348 0.6696 0.8546  10 Mg 3.04-3.36, 1 Nb 3.05, 1 Rb 3.39
Mg: 0.8304 0.1652 0.3954  10 Mg 3.04-3.36, 1 Nb 3.05, 1 Rb 3.39
Mg: 0.8304 0.1652 0.8546  10 Mg 3.04-3.36, 1 Nb 3.05, 1 Rb 3.39
Mg: 0.8333 0.6667 0.3700  12 Mg 3.20-3.29
Mg: 0.8333 0.6667 0.8800  12 Mg 3.20-3.29
Nb: 0.1667 0.3333 0.6250  12 Mg 3.05-3.28

Results
The calculation puts the formation enthalpy at 0 K at 21.18 kJ/mol of atoms. The calculation puts the energy at -1.8734 eV/atom. The space group is P-6m2.


# 3
Computed, not measured: MgTiNbS4 after structural relaxation at the PBE level of DFT.

Cell: 3.4442 7.0177 7.4164 Å, 63.55 103.33 119.39°
Closest atoms and distances in Å follow each position.
Positions (direct):
Mg: 0.3631 0.0791 0.5645  4 S 2.40-2.49
Ti: 0.9540 0.9459 0.0153  6 S 2.42-2.60
Nb: 0.0386 0.5374 0.0022  6 S 2.43-2.62
S: 0.6522 0.7777 0.7469  2 Mg 2.49, 1 Ti 2.52, 2 Nb 2.53
S: 0.3433 0.7203 0.2473  2 Ti 2.42, 1 Nb 2.43
S: 0.6558 0.2483 0.8129  1 Mg 2.40, 2 Ti 2.53, 1 Nb 2.62
S: 0.3324 0.2313 0.2035  1 Mg 2.40, 2 Nb 2.54, 1 Ti 2.60

Results
The calculation puts the formation enthalpy at 0 K at -138.43 kJ/mol of atoms. The calculation puts the energy at -6.3106 eV/atom. The space group is P1.


# 4
Computed, not measured: MgTiNbS4 after structural relaxation at the PBE level of DFT.

Cell: 3.4265 6.9221 7.9079 Å, 53.86 102.52 119.67°
Closest atoms and distances in Å follow each position.
Positions (direct):
Mg: 0.5272 0.2867 0.4837  6 S 2.50-2.62
Ti: 0.9828 0.9862 0.9942  6 S 2.47-2.58
Nb: 0.0625 0.5739 0.9778  6 S 2.49-2.59
S: 0.7559 0.8973 0.7177  1 Ti 2.48, 2 Nb 2.51, 2 Mg 2.62
S: 0.2976 0.6725 0.2509  2 Ti 2.48, 1 Nb 2.49, 2 Mg 2.61
S: 0.7277 0.3355 0.7850  2 Ti 2.47, 1 Mg 2.50, 1 Nb 2.59
S: 0.3070 0.2080 0.1981  1 Mg 2.50, 2 Nb 2.53, 1 Ti 2.58

Results
The calculation puts the formation enthalpy at 0 K at -143.90 kJ/mol of atoms. The calculation puts the energy at -6.3673 eV/atom. The space group is Cm.


# 5
Computed, not measured: MgTiNbS4 after structural relaxation at the PBE level of DFT.

Cell: 3.4127 6.9972 6.9542 Å, 62.31 104.19 119.19°
Closest atoms and distances in Å follow each position.
Positions (direct):
Mg: 0.0038 0.2548 0.5000  6 S 2.58-2.61
Ti: 0.9576 0.9492 0.0134  6 S 2.42-2.61
Nb: 0.0456 0.5497 0.9878  6 S 2.46-2.63
S: 0.6654 0.7980 0.7301  1 Ti 2.44, 2 Nb 2.47, 1 Mg 2.58
S: 0.3495 0.7158 0.2647  2 Ti 2.42, 1 Nb 2.46, 1 Mg 2.61
S: 0.6562 0.2633 0.7842  2 Ti 2.56, 2 Mg 2.58-2.59, 1 Nb 2.63
S: 0.3397 0.2290 0.2198  2 Nb 2.59, 2 Mg 2.59-2.60, 1 Ti 2.61

Results
The calculation puts the formation enthalpy at 0 K at -147.41 kJ/mol of atoms. The calculation puts the energy at -6.4036 eV/atom. The space group is P1.


# 6
Computed, not measured: Mg6NbSb after structural relaxation at the PBE level of DFT.

Cell: 5.0441 6.3470 10.6877 Å, 90.00 90.00 90.00°
Closest atoms and distances in Å follow each position.
Positions (direct):
Mg: 0.0000 0.2444 0.0813  2 Nb 3.08-3.13, 8 Mg 3.08-3.24, 2 Sb 3.15
Mg: 0.0000 0.7556 0.0813  2 Nb 3.08-3.13, 8 Mg 3.08-3.24, 2 Sb 3.15
Mg: 0.0000 0.5000 0.8347  10 Mg 3.09-3.12, 2 Nb 3.17
Mg: 0.5000 0.2448 0.9157  2 Sb 3.02-3.19, 8 Mg 3.08-3.24, 2 Nb 3.09
Mg: 0.5000 0.7552 0.9157  2 Sb 3.02-3.19, 8 Mg 3.08-3.24, 2 Nb 3.09
Mg: 0.5000 0.5000 0.6663  10 Mg 3.10-3.12, 2 Sb 3.17
Mg: 0.0000 0.7444 0.5813  2 Nb 3.08-3.13, 8 Mg 3.08-3.24, 2 Sb 3.15
Mg: 0.0000 0.2556 0.5813  2 Nb 3.08-3.13, 8 Mg 3.08-3.24, 2 Sb 3.15
Mg: 0.0000 0.0000 0.3347  10 Mg 3.09-3.12, 2 Nb 3.17
Mg: 0.5000 0.7448 0.4157  2 Sb 3.02-3.19, 8 Mg 3.08-3.24, 2 Nb 3.09
Mg: 0.5000 0.2552 0.4157  2 Sb 3.02-3.19, 8 Mg 3.08-3.24, 2 Nb 3.09
Mg: 0.5000 0.0000 0.1663  10 Mg 3.10-3.12, 2 Sb 3.17
Nb: 0.0000 0.5000 0.3322  2 Sb 3.04, 10 Mg 3.08-3.17
Nb: 0.0000 0.0000 0.8322  2 Sb 3.04, 10 Mg 3.08-3.17
Sb: 0.5000 0.5000 0.1728  10 Mg 3.02-3.19, 2 Nb 3.04
Sb: 0.5000 0.0000 0.6728  10 Mg 3.02-3.19, 2 Nb 3.04

Results
The calculation puts the formation enthalpy at 0 K at 2.21 kJ/mol of atoms. The calculation puts the energy at -2.9321 eV/atom.